Entry 1:
Below is a geometry-optimized V2O3F3 structure, with properties calculated at the r2SCAN level.

Cell: 5.110 5.132 12.914 Å, 90.13 90.27 119.78°
Space group P1 (No. 1)
Symmetry-distinct sites (fractional):
1 V 0.000 0.000 0.000 [1 per cell]
2 V 0.000 0.110 0.500 [1 per cell]
3 V 0.293 0.686 0.174 [1 per cell]
4 V 0.357 0.770 0.664 [1 per cell]
5 V 0.657 0.403 0.325 [1 per cell]
6 V 0.675 0.360 0.842 [1 per cell]
7 O 0.218 0.942 0.083 [1 per cell]
8 O 0.228 0.373 0.581 [1 per cell]
9 O 0.398 0.038 0.747 [1 per cell]
10 O 0.413 0.471 0.249 [1 per cell]
11 O 0.655 0.952 0.587 [1 per cell]
12 O 0.745 0.140 0.913 [1 per cell]
13 O 0.884 0.288 0.421 [1 per cell]
14 O 0.895 0.711 0.914 [1 per cell]
15 O 0.983 0.610 0.250 [1 per cell]
16 F 0.058 0.362 0.081 [1 per cell]
17 F 0.075 0.792 0.578 [1 per cell]
18 F 0.300 0.114 0.413 [1 per cell]
19 F 0.317 0.297 0.918 [1 per cell]
20 F 0.538 0.613 0.751 [1 per cell]
21 F 0.574 0.043 0.248 [1 per cell]
22 F 0.643 0.787 0.078 [1 per cell]
23 F 0.726 0.708 0.420 [1 per cell]
24 F 0.973 0.463 0.739 [1 per cell]

Entry 2:
Below is a geometry-optimized V2O3F3 structure, with properties calculated at the r2SCAN level.

Cell: 5.087 5.134 12.955 Å, 90.29 90.39 119.67°
Space group P1 (No. 1)
Symmetry-distinct sites (fractional):
1 V 0.000 0.000 0.000 [1 per cell]
2 V 0.021 0.007 0.498 [1 per cell]
3 V 0.324 0.637 0.838 [1 per cell]
4 V 0.400 0.669 0.327 [1 per cell]
5 V 0.704 0.304 0.657 [1 per cell]
6 V 0.737 0.341 0.172 [1 per cell]
7 O 0.025 0.436 0.255 [1 per cell]
8 O 0.055 0.593 0.757 [1 per cell]
9 O 0.147 0.350 0.919 [1 per cell]
10 O 0.391 0.101 0.589 [1 per cell]
11 O 0.604 0.590 0.247 [1 per cell]
12 O 0.725 0.919 0.420 [1 per cell]
13 O 0.734 0.780 0.918 [1 per cell]
14 O 0.809 0.100 0.084 [1 per cell]
15 O 0.958 0.247 0.591 [1 per cell]
16 F 0.144 0.753 0.425 [1 per cell]
17 F 0.314 0.930 0.922 [1 per cell]
18 F 0.315 0.342 0.420 [1 per cell]
19 F 0.395 0.262 0.084 [1 per cell]
20 F 0.440 0.012 0.253 [1 per cell]
21 F 0.480 0.447 0.754 [1 per cell]
22 F 0.634 0.022 0.759 [1 per cell]
23 F 0.797 0.673 0.591 [1 per cell]
24 F 0.986 0.684 0.084 [1 per cell]

Entry 3:
Below is a geometry-optimized VOF2 structure, with properties calculated at the r2SCAN level.

Cell: 5.052 5.057 13.163 Å, 89.47 89.90 60.51°
Space group P1 (No. 1)
Symmetry-distinct sites (fractional):
1 V 0.000 0.000 0.000 [1 per cell]
2 V 0.008 0.987 0.495 [1 per cell]
3 V 0.349 0.318 0.832 [1 per cell]
4 V 0.392 0.315 0.330 [1 per cell]
5 V 0.658 0.676 0.664 [1 per cell]
6 V 0.694 0.647 0.166 [1 per cell]
7 O 0.279 0.098 0.906 [1 per cell]
8 O 0.442 0.606 0.740 [1 per cell]
9 O 0.610 0.425 0.238 [1 per cell]
10 O 0.685 0.088 0.404 [1 per cell]
11 O 0.783 0.928 0.075 [1 per cell]
12 O 0.946 0.770 0.572 [1 per cell]
13 F 0.025 0.613 0.246 [1 per cell]
14 F 0.040 0.401 0.731 [1 per cell]
15 F 0.074 0.696 0.899 [1 per cell]
16 F 0.089 0.275 0.406 [1 per cell]
17 F 0.295 0.682 0.406 [1 per cell]
18 F 0.351 0.965 0.573 [1 per cell]
19 F 0.384 0.724 0.063 [1 per cell]
20 F 0.408 0.017 0.236 [1 per cell]
21 F 0.638 0.012 0.742 [1 per cell]
22 F 0.687 0.294 0.910 [1 per cell]
23 F 0.744 0.367 0.565 [1 per cell]
24 F 0.986 0.331 0.077 [1 per cell]

Entry 4:
Below is a geometry-optimized VOF2 structure, with properties calculated at the r2SCAN level.

Cell: 5.066 5.317 7.334 Å, 86.99 89.98 89.95°
Space group P1 (No. 1)
Symmetry-distinct sites (fractional):
1 V 0.000 0.000 0.000 [1 per cell]
2 V 0.000 0.066 0.513 [1 per cell]
3 V 0.510 0.489 0.014 [1 per cell]
4 V 0.510 0.578 0.500 [1 per cell]
5 O 0.332 0.238 0.054 [1 per cell]
6 O 0.333 0.830 0.459 [1 per cell]
7 O 0.750 0.247 0.557 [1 per cell]
8 O 0.752 0.818 0.957 [1 per cell]
9 F 0.150 0.032 0.756 [1 per cell]
10 F 0.248 0.330 0.446 [1 per cell]
11 F 0.249 0.738 0.071 [1 per cell]
12 F 0.424 0.535 0.757 [1 per cell]
13 F 0.650 0.532 0.257 [1 per cell]
14 F 0.836 0.325 0.948 [1 per cell]
15 F 0.837 0.741 0.563 [1 per cell]
16 F 0.927 0.034 0.256 [1 per cell]

Computed ΔE_f, in the same sequence as the records: -2772; -2773; -2944; -2928 meV per atom.